Entry 1:
Ge7H4O22 | the Materials Project | PBE | relaxed; E_form = -1.0832 eV per atom; total magnetization = 0.364 μB/atom; energy = -5.32 eV per atom; polymorph energy (0 for the lowest one) = 0.046 eV/atom; crystal system = trigonal; total energy after the MP2020 corrections = -5.77 eV/atom; space group = R3m (160)
1.0
5.5696 3.2156 4.5523
-5.5696 3.2156 4.5523
0.0000 -6.4312 4.5523
Ge H O
7 4 22
direct
0.0000 0.0000 0.0000 Ge
0.1519 0.1519 0.6521 Ge
0.1519 0.6521 0.1519 Ge
0.3051 0.3051 0.9974 Ge
0.3051 0.9974 0.3051 Ge
0.6521 0.1519 0.1519 Ge
0.9974 0.3051 0.3051 Ge
0.3369 0.3369 0.3369 H
0.3399 0.9650 0.9650 H
0.9650 0.3399 0.9650 H
0.9650 0.9650 0.3399 H
0.0201 0.0201 0.7748 O
0.0201 0.7748 0.0201 O
0.0205 0.2845 0.5295 O
0.0205 0.5295 0.2845 O
0.0388 0.0388 0.2660 O
0.0388 0.2660 0.0388 O
0.1503 0.6556 0.6556 O
0.2652 0.2652 0.2652 O
0.2660 0.0388 0.0388 O
0.2845 0.0205 0.5295 O
0.2842 0.2842 0.7734 O
0.2845 0.5295 0.0205 O
0.2842 0.7734 0.2842 O
0.4762 0.8283 0.8283 O
0.5295 0.0205 0.2845 O
0.5295 0.2845 0.0205 O
0.6556 0.1503 0.6556 O
0.6556 0.6556 0.1503 O
0.7734 0.2842 0.2842 O
0.7748 0.0201 0.0201 O
0.8283 0.4762 0.8283 O
0.8283 0.8283 0.4762 O



Entry 2:
Ge7H18O23 | the Materials Project | PBE | relaxed; E_form = -1.5397 eV per atom; total magnetization = 0.000 μB/atom; energy = -5.53 eV per atom; polymorph energy (0 for the lowest one) = 0.037 eV/atom; crystal system = triclinic; total energy after the MP2020 corrections = -5.86 eV/atom; space group = P1 (1)
1.0
7.5672 0.0000 0.0000
0.0862 8.0307 0.0000
0.1848 0.1275 8.0609
Ge H O
7 18 23
direct
0.0000 0.0000 0.0000 Ge
0.0045 0.7228 0.7403 Ge
0.3785 0.8605 0.8433 Ge
0.7238 0.7212 0.0020 Ge
0.7456 0.0482 0.6632 Ge
0.8692 0.8561 0.3383 Ge
0.8780 0.3652 0.8573 Ge
0.0744 0.6533 0.4252 H
0.1123 0.1327 0.5595 H
0.1298 0.6155 0.1376 H
0.1547 0.1557 0.3733 H
0.2335 0.3813 0.8023 H
0.2514 0.4831 0.2265 H
0.2817 0.1531 0.8981 H
0.3939 0.7932 0.2537 H
0.4233 0.3059 0.7559 H
0.4444 0.9141 0.3912 H
0.4854 0.6283 0.4790 H
0.5298 0.1101 0.1697 H
0.5859 0.2507 0.2803 H
0.6197 0.5926 0.6203 H
0.6578 0.0277 0.9468 H
0.7134 0.4468 0.3991 H
0.7793 0.4367 0.1438 H
0.8897 0.3332 0.3670 H
0.0017 0.7655 0.9749 O
0.0226 0.9768 0.2249 O
0.0390 0.4917 0.7588 O
0.1073 0.2157 0.4697 O
0.1461 0.5527 0.2419 O
0.2432 0.7588 0.7073 O
0.2472 0.0231 0.9459 O
0.3295 0.3048 0.8414 O
0.3775 0.8127 0.3725 O
0.4789 0.1976 0.2385 O
0.4793 0.7347 0.9958 O
0.5327 0.0067 0.7547 O
0.5566 0.5377 0.5309 O
0.7252 0.9859 0.4575 O
0.7388 0.9706 0.0239 O
0.7414 0.2662 0.7110 O
0.7424 0.7171 0.2281 O
0.7548 0.4794 0.0187 O
0.7581 0.7038 0.7723 O
0.7791 0.3738 0.3172 O
0.9559 0.9772 0.7370 O
0.9830 0.2234 0.9893 O
0.9844 0.7218 0.4902 O



Entry 3:
Ge7H18O23 | the Materials Project | PBE | relaxed; E_form = -1.5553 eV per atom; total magnetization = 0.000 μB/atom; energy = -5.54 eV per atom; polymorph energy (0 for the lowest one) = 0.021 eV/atom; crystal system = triclinic; total energy after the MP2020 corrections = -5.87 eV/atom; space group = P1 (1)
1.0
7.7771 0.0000 0.0000
0.0810 7.8595 0.0000
0.0238 0.1159 8.0112
Ge H O
7 18 23
direct
0.0000 0.0000 0.0000 Ge
0.0039 0.2762 0.7277 Ge
0.1307 0.6280 0.8790 Ge
0.1439 0.1287 0.3887 Ge
0.2765 0.2767 0.0037 Ge
0.2867 0.0108 0.7345 Ge
0.6430 0.1410 0.8747 Ge
0.0532 0.8592 0.2903 H
0.0774 0.6232 0.4345 H
0.1571 0.5955 0.2559 H
0.3455 0.9306 0.0683 H
0.4021 0.7751 0.2601 H
0.4064 0.7121 0.7686 H
0.4107 0.4010 0.6234 H
0.4199 0.2112 0.2863 H
0.5137 0.7518 0.0903 H
0.6022 0.4273 0.5836 H
0.6051 0.5337 0.9626 H
0.6177 0.1042 0.4459 H
0.6443 0.0734 0.2564 H
0.7106 0.6970 0.9189 H
0.7167 0.3793 0.2731 H
0.7419 0.7210 0.5087 H
0.8421 0.8513 0.6148 H
0.8646 0.4652 0.1766 H
0.0003 0.7661 0.9937 O
0.0105 0.5112 0.7382 O
0.0123 0.2696 0.4953 O
0.0323 0.9846 0.2501 O
0.0352 0.0211 0.7595 O
0.0348 0.2406 0.0036 O
0.1356 0.6808 0.3415 O
0.2530 0.5075 0.0236 O
0.2564 0.2570 0.7601 O
0.2645 0.0121 0.9873 O
0.2823 0.0023 0.5086 O
0.2862 0.7566 0.7559 O
0.2924 0.2413 0.2496 O
0.4540 0.8362 0.1654 O
0.4883 0.4768 0.5618 O
0.5104 0.2745 0.9978 O
0.5198 0.0075 0.7468 O
0.5934 0.6525 0.9243 O
0.6035 0.1589 0.3359 O
0.7569 0.4908 0.2336 O
0.7672 0.0138 0.0139 O
0.7708 0.2699 0.7428 O
0.8068 0.8262 0.5012 O